# 1
First-principles (PBE+U) data for an optimized crystal structure of BaFe2O4, as listed in the Materials Project database.

**Energy above the most stable polymorph in this dataset**: 0.035 eV per atom

```
BaFe2O4
1.0
5.505 0.000 0.000
-2.752 4.767 0.000
0.000 0.000 9.245
Ba Fe O
2 4 8
direct
0.000 0.000 0.250
0.000 0.000 0.750
0.333 0.667 0.048
0.333 0.667 0.452
0.667 0.333 0.548
0.667 0.333 0.952
0.000 0.328 0.000
0.000 0.672 0.500
0.328 0.000 0.000
0.328 0.328 0.500
0.333 0.667 0.250
0.667 0.333 0.750
0.672 0.000 0.500
0.672 0.672 0.000
```

---

# 2
First-principles (PBE+U) data for an optimized crystal structure of BaFeO4, as listed in the Materials Project database.

```
BaFeO4
1.0
9.197 0.000 0.000
0.000 5.615 0.000
0.000 0.000 7.423
Ba Fe O
4 4 16
direct
0.184 0.250 0.157
0.316 0.750 0.657
0.684 0.250 0.343
0.816 0.750 0.843
0.062 0.250 0.690
0.438 0.750 0.190
0.562 0.250 0.810
0.938 0.750 0.310
0.083 0.011 0.821
0.083 0.489 0.821
0.102 0.750 0.397
0.194 0.250 0.538
0.306 0.750 0.038
0.398 0.250 0.897
0.417 0.511 0.321
0.417 0.989 0.321
0.583 0.011 0.679
0.583 0.489 0.679
0.602 0.750 0.103
0.694 0.250 0.962
0.806 0.750 0.462
0.898 0.250 0.603
0.917 0.511 0.179
0.917 0.989 0.179
```

---

# 3
First-principles (PBE+U) data for an optimized crystal structure of BaFe4O7, as listed in the Materials Project database.

**Energy above the most stable polymorph in this dataset**: 0.000 eV per atom

```
BaFe4O7
1.0
5.117 0.000 0.000
-2.558 4.431 0.000
0.000 0.000 13.937
Ba Fe O
2 8 14
direct
0.333 0.667 0.250
0.667 0.333 0.750
0.000 0.000 0.113
0.000 0.000 0.387
0.000 0.000 0.613
0.000 0.000 0.887
0.333 0.667 0.503
0.333 0.667 0.997
0.667 0.333 0.003
0.667 0.333 0.497
0.000 0.000 0.250
0.000 0.000 0.750
0.007 0.645 0.079
0.007 0.645 0.421
0.355 0.362 0.079
0.355 0.362 0.421
0.362 0.007 0.579
0.362 0.007 0.921
0.638 0.993 0.079
0.638 0.993 0.421
0.645 0.638 0.579
0.645 0.638 0.921
0.993 0.355 0.579
0.993 0.355 0.921
```

---

# 4
First-principles (PBE+U) data for an optimized crystal structure of BaFe18O27, as listed in the Materials Project database.

```
BaFe18O27
1.0
6.022 0.000 0.000
-3.011 5.216 0.000
0.000 0.000 33.124
Ba Fe O
2 36 54
direct
0.000 0.000 0.250
0.000 0.000 0.750
0.000 0.000 0.056
0.000 0.000 0.444
0.000 0.000 0.556
0.000 0.000 0.944
0.000 0.500 0.000
0.000 0.500 0.500
0.167 0.334 0.150
0.167 0.334 0.350
0.167 0.833 0.150
0.167 0.833 0.350
0.333 0.667 0.073
0.333 0.667 0.250
0.333 0.667 0.427
0.333 0.667 0.597
0.333 0.667 0.708
0.333 0.667 0.792
0.333 0.667 0.903
0.334 0.167 0.650
0.334 0.167 0.850
0.500 0.000 0.000
0.500 0.000 0.500
0.500 0.500 0.000
0.500 0.500 0.500
0.666 0.833 0.150
0.666 0.833 0.350
0.667 0.333 0.097
0.667 0.333 0.208
0.667 0.333 0.292
0.667 0.333 0.403
0.667 0.333 0.573
0.667 0.333 0.750
0.667 0.333 0.927
0.833 0.167 0.650
0.833 0.167 0.850
0.833 0.666 0.650
0.833 0.666 0.850
0.000 0.000 0.112
0.000 0.000 0.388
0.000 0.000 0.612
0.000 0.000 0.888
0.023 0.511 0.111
0.023 0.511 0.389
0.032 0.516 0.750
0.163 0.326 0.679
0.163 0.326 0.821
0.163 0.837 0.679
0.163 0.837 0.821
0.175 0.350 0.034
0.175 0.350 0.466
0.175 0.825 0.034
0.175 0.825 0.466
0.326 0.163 0.179
0.326 0.163 0.321
0.333 0.667 0.181
0.333 0.667 0.319
0.333 0.667 0.534
0.333 0.667 0.966
0.350 0.175 0.534
0.350 0.175 0.966
0.484 0.516 0.750
0.484 0.968 0.750
0.489 0.511 0.111
0.489 0.511 0.389
0.489 0.977 0.111
0.489 0.977 0.389
0.511 0.023 0.611
0.511 0.023 0.889
0.511 0.489 0.611
0.511 0.489 0.889
0.516 0.032 0.250
0.516 0.484 0.250
0.650 0.825 0.034
0.650 0.825 0.466
0.667 0.333 0.034
0.667 0.333 0.466
0.667 0.333 0.681
0.667 0.333 0.819
0.674 0.837 0.679
0.674 0.837 0.821
0.825 0.175 0.534
0.825 0.175 0.966
0.825 0.650 0.534
0.825 0.650 0.966
0.837 0.163 0.179
0.837 0.163 0.321
0.837 0.674 0.179
0.837 0.674 0.321
0.968 0.484 0.250
0.977 0.489 0.611
0.977 0.489 0.889
```

---

Values for energy, eV per atom, ordered as above
-6.538, -5.928, -6.577, -6.646